(P)
Computed, not measured: HfCrCuS4 after structural relaxation at the PBE level of DFT.

abc: 6.800 6.800 6.041
angles: 64.45 64.45 30.49
Sites, in units of the cell vectors:
1 Hf 0.244 0.244 0.744
2 Cr 0.756 0.756 0.257
3 Cu 0.500 0.500 0.484
4 S 0.376 0.376 0.288
5 S 0.620 0.620 0.699
6 S 0.869 0.869 0.809
7 S 0.136 0.136 0.218

**Symmetry**: Cm

---

(Q)
Computed, not measured: HfCrCuS4 after structural relaxation at the PBE level of DFT.

abc: 11.528 3.576 12.439
angles: 90.00 91.01 90.00
Sites, in units of the cell vectors:
1 Hf 0.885 0.750 0.925
2 Hf 0.159 0.250 0.675
3 Hf 0.851 0.750 0.308
4 Hf 0.351 0.750 0.198
5 Cr 0.114 0.250 0.068
6 Cr 0.394 0.750 0.570
7 Cr 0.616 0.250 0.438
8 Cr 0.642 0.250 0.805
9 Cu 0.110 0.750 0.467
10 Cu 0.883 0.250 0.547
11 Cu 0.404 0.250 0.938
12 Cu 0.597 0.750 0.058
13 S 0.009 0.750 0.627
14 S 0.987 0.250 0.383
15 S 0.479 0.250 0.119
16 S 0.524 0.750 0.881
17 S 0.036 0.250 0.879
18 S 0.976 0.750 0.122
19 S 0.479 0.750 0.389
20 S 0.528 0.250 0.617
21 S 0.209 0.250 0.244
22 S 0.768 0.750 0.755
23 S 0.292 0.750 0.742
24 S 0.710 0.250 0.257
25 S 0.243 0.750 0.017
26 S 0.744 0.250 0.981
27 S 0.261 0.250 0.504
28 S 0.748 0.750 0.487

**Symmetry**: Pm

---

The winner here is (P), beating the second structure by 110 meV per atom.